# 1
VASP calculation (PBE with a Hubbard U) on a geometry-optimized Sr2V2GaO7 structure.

Computed properties:
For the energy of formation, the calculation gives -2554 meV per atom.

a b c (Å): 11.809 11.809 11.809
angles (deg): 38.26 152.99 153.41
Fractional positions:
Sr (0.013, 0.147, 0.161)
Sr (0.013, 0.353, 0.366)
Sr (0.987, 0.647, 0.634)
Sr (0.987, 0.853, 0.839)
V (0.496, 0.566, 0.068)
V (0.496, 0.928, 0.430)
V (0.497, 0.066, 0.570)
V (0.497, 0.428, 0.932)
Ga (0.472, 0.799, 0.173)
Ga (0.626, 0.299, 0.827)
O (0.010, 0.647, 0.863)
O (0.024, 0.193, 0.693)
O (0.024, 0.831, 0.331)
O (0.451, 0.157, 0.639)
O (0.451, 0.312, 0.794)
O (0.498, 0.160, 0.189)
O (0.498, 0.809, 0.837)
O (0.500, 0.331, 0.307)
O (0.500, 0.693, 0.669)
O (0.518, 0.657, 0.206)
O (0.518, 0.812, 0.361)
O (0.784, 0.147, 0.137)
O (0.971, 0.309, 0.811)
O (0.971, 0.660, 0.163)


# 2
VASP calculation (PBE with a Hubbard U) on a geometry-optimized Li11V12Co4O32 structure.

Computed properties:
For the energy of formation, the calculation gives -2254 meV per atom.

a b c (Å): 8.331 8.331 8.417
angles (deg): 90.14 90.14 90.00
Fractional positions:
Li (0.000, 0.000, 0.000)
Li (0.008, 0.749, 0.244)
Li (0.251, 0.992, 0.756)
Li (0.258, 0.742, 0.500)
Li (0.367, 0.376, 0.127)
Li (0.505, 0.001, 0.507)
Li (0.624, 0.633, 0.873)
Li (0.744, 0.256, 0.500)
Li (0.754, 0.004, 0.245)
Li (0.996, 0.246, 0.755)
Li (0.999, 0.495, 0.493)
V (0.005, 0.500, 0.006)
V (0.255, 0.257, 0.496)
V (0.256, 0.008, 0.242)
V (0.263, 0.499, 0.761)
V (0.500, 0.995, 0.994)
V (0.501, 0.737, 0.239)
V (0.503, 0.248, 0.760)
V (0.743, 0.745, 0.504)
V (0.748, 0.252, 0.000)
V (0.752, 0.497, 0.240)
V (0.992, 0.744, 0.758)
V (0.997, 0.003, 0.500)
Co (0.006, 0.251, 0.245)
Co (0.253, 0.747, 0.000)
Co (0.502, 0.498, 0.500)
Co (0.749, 0.994, 0.755)
O (0.000, 0.488, 0.232)
O (0.011, 0.243, 0.482)
O (0.013, 0.013, 0.252)
O (0.019, 0.499, 0.770)
O (0.021, 0.736, 0.003)
O (0.233, 0.737, 0.766)
O (0.241, 0.244, 0.265)
O (0.242, 0.015, 0.496)
O (0.243, 0.485, 0.519)
O (0.243, 0.514, 0.991)
O (0.257, 0.258, 0.737)
O (0.263, 0.767, 0.234)
O (0.264, 0.979, 0.997)
O (0.482, 0.496, 0.744)
O (0.486, 0.757, 0.009)
O (0.487, 0.247, 0.518)
O (0.501, 0.981, 0.230)
O (0.504, 0.518, 0.256)
O (0.506, 0.236, 0.996)
O (0.512, 0.000, 0.768)
O (0.515, 0.757, 0.481)
O (0.741, 0.226, 0.754)
O (0.742, 0.013, 0.989)
O (0.742, 0.743, 0.263)
O (0.753, 0.513, 0.482)
O (0.756, 0.759, 0.735)
O (0.757, 0.989, 0.518)
O (0.764, 0.494, 0.004)
O (0.774, 0.259, 0.246)
O (0.985, 0.758, 0.504)
O (0.987, 0.258, 0.011)
O (0.987, 0.987, 0.748)


| no. | E_tot (eV/atom) |
| --- | --- |
| 1 | -6.804 |
| 2 | -6.794 |